Record 1
DFT (r²SCAN) results for crystalline WSe2 at its relaxed geometry.

The structure in CIF format:
```
data_WSe2
_chemical_formula_sum 'W3 Se6'
_symmetry_space_group_name_H-M 'P 1'
_symmetry_Int_Tables_number 1
_symmetry_space_group_name_Hall 'P 1'
_cell_length_a 3.3181
_cell_length_b 3.3181
_cell_length_c 29.7394
_cell_angle_alpha 90.00
_cell_angle_beta 90.00
_cell_angle_gamma 120.00
loop_
_atom_site_label
_atom_site_type_symbol
_atom_site_fract_x
_atom_site_fract_y
_atom_site_fract_z
W1 W 0.0000 0.0000 0.0000
W2 W 0.6667 0.3333 0.2296
W3 W 0.6667 0.3333 0.7704
Se1 Se 0.0000 0.0000 0.1736
Se2 Se 0.0000 0.0000 0.2854
Se3 Se 0.0000 0.0000 0.7146
Se4 Se 0.0000 0.0000 0.8264
Se5 Se 0.6667 0.3333 0.0559
Se6 Se 0.6667 0.3333 0.9441
```

Computed properties:
**Mass density**: 6.00 g cm⁻³
**Volume**: 283.6 Å³/cell
**Energy of formation from the pure elements**: -0.598 eV/atom
**Total magnetic moment**: 0.0 μB/cell



Record 2
DFT (r²SCAN) results for crystalline WSe2 at its relaxed geometry.

The structure in CIF format:
```
data_WSe2
_chemical_formula_sum 'W1 Se2'
_symmetry_space_group_name_H-M 'P 1'
_symmetry_Int_Tables_number 1
_symmetry_space_group_name_Hall 'P 1'
_cell_length_a 3.3179
_cell_length_b 3.3179
_cell_length_c 16.6581
_cell_angle_alpha 90.00
_cell_angle_beta 90.00
_cell_angle_gamma 120.00
loop_
_atom_site_label
_atom_site_type_symbol
_atom_site_fract_x
_atom_site_fract_y
_atom_site_fract_z
W1 W 0.0000 0.0000 0.0000
Se1 Se 0.3333 0.6667 0.0998
Se2 Se 0.3333 0.6667 0.9002
```

Computed properties:
**Mass density**: 3.57 g cm⁻³
**Volume**: 158.8 Å³/cell
**Energy of formation from the pure elements**: -0.588 eV/atom
**Total magnetic moment**: 0.0 μB/cell



Record 3
DFT (r²SCAN) results for crystalline WSe2 at its relaxed geometry.

The structure in CIF format:
```
data_WSe2
_chemical_formula_sum 'W2 Se4'
_symmetry_space_group_name_H-M 'P 1'
_symmetry_Int_Tables_number 1
_symmetry_space_group_name_Hall 'P 1'
_cell_length_a 3.3179
_cell_length_b 3.3179
_cell_length_c 24.0685
_cell_angle_alpha 90.00
_cell_angle_beta 90.00
_cell_angle_gamma 120.00
loop_
_atom_site_label
_atom_site_type_symbol
_atom_site_fract_x
_atom_site_fract_y
_atom_site_fract_z
W1 W 0.3333 0.6667 0.3585
W2 W 0.6667 0.3333 0.6415
Se1 Se 0.3333 0.6667 0.5724
Se2 Se 0.3333 0.6667 0.7106
Se3 Se 0.6667 0.3333 0.2894
Se4 Se 0.6667 0.3333 0.4276
```

Computed properties:
**Mass density**: 4.95 g cm⁻³
**Volume**: 229.5 Å³/cell
**Energy of formation from the pure elements**: -0.595 eV/atom
**Total magnetic moment**: 0.0 μB/cell



Record 4
DFT (r²SCAN) results for crystalline WSe2 at its relaxed geometry.

The structure in CIF format:
```
data_WSe2
_chemical_formula_sum 'W2 Se4'
_symmetry_space_group_name_H-M 'P 1'
_symmetry_Int_Tables_number 1
_symmetry_space_group_name_Hall 'P 1'
_cell_length_a 3.3199
_cell_length_b 3.3199
_cell_length_c 13.7372
_cell_angle_alpha 90.00
_cell_angle_beta 90.00
_cell_angle_gamma 120.00
loop_
_atom_site_label
_atom_site_type_symbol
_atom_site_fract_x
_atom_site_fract_y
_atom_site_fract_z
W1 W 0.3333 0.6667 0.2500
W2 W 0.6667 0.3333 0.7500
Se1 Se 0.3333 0.6667 0.6290
Se2 Se 0.3333 0.6667 0.8710
Se3 Se 0.6667 0.3333 0.1290
Se4 Se 0.6667 0.3333 0.3710
```

Computed properties:
**Mass density**: 8.66 g cm⁻³
**Volume**: 131.1 Å³/cell
**Energy of formation from the pure elements**: -0.604 eV/atom
**Total magnetic moment**: 0.0 μB/cell



Record 5
DFT (r²SCAN) results for crystalline Y2Se3 at its relaxed geometry.

The structure in CIF format:
```
data_Y2Se3
_chemical_formula_sum 'Y8 Se12'
_symmetry_space_group_name_H-M 'P 1'
_symmetry_Int_Tables_number 1
_symmetry_space_group_name_Hall 'P 1'
_cell_length_a 13.5519
_cell_length_b 12.9360
_cell_length_c 7.0817
_cell_angle_alpha 79.36
_cell_angle_beta 69.74
_cell_angle_gamma 30.90
loop_
_atom_site_label
_atom_site_type_symbol
_atom_site_fract_x
_atom_site_fract_y
_atom_site_fract_z
Y1 Y 0.0408 0.0408 0.2092
Y2 Y 0.1279 0.1279 0.6221
Y3 Y 0.2092 0.2092 0.0408
Y4 Y 0.3779 0.3779 0.8721
Y5 Y 0.6221 0.6221 0.1279
Y6 Y 0.7908 0.7908 0.9592
Y7 Y 0.8721 0.8721 0.3779
Y8 Y 0.9592 0.9592 0.7908
Se1 Se 0.0490 0.5395 0.1937
Se2 Se 0.1160 0.6340 0.6340
Se3 Se 0.1937 0.7178 0.0490
Se4 Se 0.2822 0.8063 0.4605
Se5 Se 0.3660 0.8840 0.8840
Se6 Se 0.4605 0.9510 0.2822
Se7 Se 0.5395 0.0490 0.7178
Se8 Se 0.6340 0.1160 0.1160
Se9 Se 0.7178 0.1937 0.5395
Se10 Se 0.8063 0.2822 0.9510
Se11 Se 0.8840 0.3660 0.3660
Se12 Se 0.9510 0.4605 0.8063
```

Computed properties:
**Mass density**: 4.74 g cm⁻³
**Volume**: 581.6 Å³/cell
**Energy of formation from the pure elements**: -2.199 eV/atom
**Total magnetic moment**: 0.0 μB/cell



Record 6
DFT (r²SCAN) results for crystalline YSe2 at its relaxed geometry.

The structure in CIF format:
```
data_YSe2
_chemical_formula_sum 'Y2 Se4'
_symmetry_space_group_name_H-M 'P 1'
_symmetry_Int_Tables_number 1
_symmetry_space_group_name_Hall 'P 1'
_cell_length_a 4.0702
_cell_length_b 4.0702
_cell_length_c 8.3158
_cell_angle_alpha 90.00
_cell_angle_beta 90.00
_cell_angle_gamma 90.00
loop_
_atom_site_label
_atom_site_type_symbol
_atom_site_fract_x
_atom_site_fract_y
_atom_site_fract_z
Y1 Y 0.2500 0.2500 0.2266
Y2 Y 0.7500 0.7500 0.7734
Se1 Se 0.2500 0.2500 0.8696
Se2 Se 0.2500 0.7500 0.5000
Se3 Se 0.7500 0.2500 0.5000
Se4 Se 0.7500 0.7500 0.1304
```

Computed properties:
**Mass density**: 5.95 g cm⁻³
**Volume**: 137.8 Å³/cell
**Energy of formation from the pure elements**: -1.791 eV/atom
**Total magnetic moment**: 0.0 μB/cell



Record 7
DFT (r²SCAN) results for crystalline YSe2 at its relaxed geometry.

The structure in CIF format:
```
data_YSe2
_chemical_formula_sum 'Y2 Se4'
_symmetry_space_group_name_H-M 'P 1'
_symmetry_Int_Tables_number 1
_symmetry_space_group_name_Hall 'P 1'
_cell_length_a 7.5402
_cell_length_b 7.5402
_cell_length_c 7.5402
_cell_angle_alpha 148.61
_cell_angle_beta 135.81
_cell_angle_gamma 55.20
loop_
_atom_site_label
_atom_site_type_symbol
_atom_site_fract_x
_atom_site_fract_y
_atom_site_fract_z
Y1 Y 0.1508 0.1508 0.0000
Y2 Y 0.8492 0.8492 0.0000
Se1 Se 0.2108 0.5000 0.7108
Se2 Se 0.2934 0.7934 0.5000
Se3 Se 0.7066 0.2066 0.5000
Se4 Se 0.7892 0.5000 0.2892
```

Computed properties:
**Mass density**: 5.30 g cm⁻³
**Volume**: 154.6 Å³/cell
**Energy of formation from the pure elements**: -1.799 eV/atom
**Total magnetic moment**: 0.0 μB/cell



Record 8
DFT (r²SCAN) results for crystalline Yb5Se7 at its relaxed geometry.

The structure in CIF format:
```
data_Yb5Se7
_chemical_formula_sum 'Yb5 Se7'
_symmetry_space_group_name_H-M 'P 1'
_symmetry_Int_Tables_number 1
_symmetry_space_group_name_Hall 'P 1'
_cell_length_a 6.8195
_cell_length_b 6.8195
_cell_length_c 11.9720
_cell_angle_alpha 103.76
_cell_angle_beta 103.76
_cell_angle_gamma 33.03
loop_
_atom_site_label
_atom_site_type_symbol
_atom_site_fract_x
_atom_site_fract_y
_atom_site_fract_z
Yb1 Yb 0.0000 0.0000 0.0000
Yb2 Yb 0.1124 0.1124 0.4222
Yb3 Yb 0.2996 0.2996 0.1864
Yb4 Yb 0.7004 0.7004 0.8136
Yb5 Yb 0.8876 0.8876 0.5778
Se1 Se 0.0397 0.0397 0.7848
Se2 Se 0.2580 0.2580 0.6466
Se3 Se 0.3408 0.3408 0.9491
Se4 Se 0.5000 0.5000 0.5000
Se5 Se 0.6592 0.6592 0.0509
Se6 Se 0.7420 0.7420 0.3534
Se7 Se 0.9603 0.9603 0.2152
```

Computed properties:
**Mass density**: 8.01 g cm⁻³
**Volume**: 294.0 Å³/cell
**Energy of formation from the pure elements**: -2.100 eV/atom
**Total magnetic moment**: 0.0 μB/cell